# 1
# HfNbRu2 (meta-GGA r2SCAN, relaxed)
data_HfNbRu2
_chemical_formula_sum 'Hf4 Nb4 Ru8'
_space_group_name_H-M_alt 'F m -3 m'
_space_group_IT_number 225
_space_group_name_Hall '-F 4 2 3'
_cell_length_a 6.396
_cell_length_b 6.396
_cell_length_c 6.396
_cell_angle_alpha 90.00
_cell_angle_beta 90.00
_cell_angle_gamma 90.00
loop_
_atom_site_label
_atom_site_fract_x
_atom_site_fract_y
_atom_site_fract_z
_atom_site_occupancy
Hf1 0.000 0.000 0.000 1
Nb1 0.000 0.000 0.500 1
Ru1 0.250 0.250 0.250 1
# **Volume**: 262 Å³/cell
# **ΔE_f**: -529.5 meV per atom
# **Crystal system**: cubic

# 2
# SmI3 (meta-GGA r2SCAN, relaxed)
data_SmI3
_chemical_formula_sum 'Sm2 I6'
_space_group_name_H-M_alt 'P 63/m m c'
_space_group_IT_number 194
_space_group_name_Hall '-P 6c 2c'
_cell_length_a 11.1661
_cell_length_b 11.1661
_cell_length_c 4.0751
_cell_angle_alpha 90.00
_cell_angle_beta 90.00
_cell_angle_gamma 120.00
loop_
_atom_site_label
_atom_site_fract_x
_atom_site_fract_y
_atom_site_fract_z
_atom_site_occupancy
Sm1 0.3333 0.6667 0.2500 1
I1 0.2120 0.4240 0.7500 1
# **Volume**: 440 Å³/cell
# **ΔE_f**: -1585.1 meV per atom
# **Crystal system**: hexagonal

What is the volume in the second record? 440 Å³/cell